## Sr6Ti3FeO14 (PBE with a Hubbard U)

Data for a relaxed Sr6Ti3FeO14 crystal.

Computed properties:
Space group: Amm2 (38)
E_form, eV/atom: -3.22
DFT total energy, eV per atom: -7.371
Calculated density, kg/m3: 4979
V, Å³ per atom: 13.19

a = 3.9333 Å, b = 20.7934 Å, c = 7.8837 Å
α = 79.07°, β = 90.00°, γ = 90.00°
With the nearest neighbours (Å) after each atom.
Fractional positions:
O 0.5000 0.6934 0.4033  1 Ti 1.97
Fe 0.5000 0.4024 0.5488  6 O 1.96-2.03
Sr 0.5000 0.8156 0.8422  9 O 2.50-2.79
O 0.5000 0.9034 0.0482  2 Ti 1.97
Sr 0.5000 0.1855 0.6573  5 O 2.47-2.68
Ti 0.0000 0.9022 0.5489  6 O 1.97-2.00
O 0.0000 0.9034 0.7982  2 Ti 1.97
O 0.0000 0.0000 0.0000  2 Ti 2.00-2.01
O 0.0000 0.4039 0.0480  2 Fe 1.97
O 0.0000 0.0968 0.7017  2 Ti 1.97
O 0.0000 0.0000 0.5000  2 Ti 2.00-2.01
Sr 0.0000 0.3181 0.3413  9 O 2.52-2.80
Fe 0.5000 0.4026 0.0487  6 O 1.92-1.97
O 0.4999 0.4043 0.2909  2 Fe 1.92-2.03
Sr 0.5000 0.8155 0.3422  7 O 2.49-2.79
Sr 0.0000 0.4970 0.2508  12 O 2.73-2.83
Sr 0.5000 0.1853 0.1574  5 O 2.49-2.67
Ti 0.5000 0.5967 0.4517  6 O 1.97-1.99
O 0.5000 0.9034 0.5483  2 Ti 1.97
Ti 0.0000 0.9022 0.0489  6 O 1.97-2.00
O 0.5000 0.0968 0.4515  2 Ti 1.97
Sr 0.5000 0.0003 0.2499  12 O 2.78-2.79
Ti 0.0000 0.0985 0.9508  6 O 1.96-2.01
O 0.0000 0.9034 0.2982  2 Ti 1.97
Ti 0.0000 0.0985 0.4507  6 O 1.96-2.01
O 0.0000 0.0967 0.2017  2 Ti 1.97
O 0.5000 0.5960 0.2018  2 Ti 1.97
O 0.5000 0.3063 0.5969  1 Fe 1.96
O 0.5001 0.4043 0.8048  2 Fe 1.92-2.03
Sr 0.0000 0.4970 0.7522  12 O 2.73-2.83
O 0.0000 0.8056 0.5974  1 Ti 1.97
O 0.5000 0.5960 0.7023  2 Ti 1.97
O 0.5000 0.3070 0.0965  1 Fe 1.95
O 0.5000 0.4994 0.5003  1 Fe 1.98, 1 Ti 1.99
O 0.0000 0.1945 0.4021  1 Ti 1.96
O 0.5000 0.4987 0.0006  1 Fe 1.96, 1 Ti 2.02
Sr 0.0000 0.6836 0.6573  7 O 2.49-2.79
O 0.5000 0.6930 0.9035  1 Ti 1.95
O 0.0000 0.5959 0.9521  2 Ti 1.97
Ti 0.5000 0.5974 0.9513  6 O 1.95-2.02
O 0.5000 0.0968 0.9519  2 Ti 1.97
Sr 0.0000 0.3181 0.8406  9 O 2.52-2.80
Sr 0.0000 0.6836 0.1592  7 O 2.49-2.79
O 0.0000 0.1945 0.9035  1 Ti 1.96
O 0.0000 0.4041 0.5479  2 Fe 1.97
Sr 0.5000 0.0003 0.7498  12 O 2.78-2.79
O 0.0000 0.8056 0.0969  1 Ti 1.97
O 0.0000 0.5963 0.4519  2 Ti 1.97